Rb2MnO4, relaxed, DFT GGA+U; symmetry = Pnma; electronic total energy = -5.507 eV per atom
1.0
-2.1901 -2.8467 -5.0109
5.2918 -6.0867 1.1457
-7.3553 -5.2290 6.1846
Rb Mn O
8 4 16
Cartesian
-1.5624 -10.2765 0.8321
-2.6912 -3.8859 1.4873
-6.5916 -8.9275 2.2632
2.3377 -5.2349 0.0561
-1.1629 -6.8474 -1.2905
-3.0911 -7.3146 3.6101
-3.0147 -3.2401 -2.5308
-1.2386 -10.9225 4.8503
-4.3518 -11.6200 2.8142
0.0986 -2.5426 -0.4949
-4.4884 -6.7935 0.1318
0.2352 -7.3688 2.1880
-3.7436 -5.6564 -0.8394
-0.5093 -8.5057 3.1600
1.6052 -6.7780 -2.5391
-5.8587 -7.3842 4.8587
-3.2485 -12.8409 3.0251
-1.0053 -1.3217 -0.7060
-3.4383 -8.0504 0.3868
-0.8158 -6.1126 1.9308
-4.7099 -11.4270 1.1986
-0.5033 -3.9835 -1.0760
-4.9156 -6.0832 1.5767
1.6219 -6.8331 2.9392
0.4567 -2.7353 1.1209
-3.7508 -10.1786 3.3953
0.6612 -8.0779 0.7414
-5.8752 -7.3306 -0.6188